Below is a geometry-optimized Li9Mn2Co5O16 structure, with properties calculated at the r²SCAN level.

energy relative to the elements = -1.91 eV per atom
crystal system = triclinic

Cell lengths 2.8125, 9.5264, 10.1803 Å; angles 107.20, 97.92, 90.06 degrees
Space group P1 (No. 1)
Inequivalent atoms, fractional coordinates:
Li  0.0000  0.0000  0.0000 [1 per cell]
Li  0.0624  0.2934  0.1147 [1 per cell]
Li  0.1289  0.6141  0.2422 [1 per cell]
Li  0.2518  0.2273  0.4978 [1 per cell]
Li  0.3763  0.8775  0.7558 [1 per cell]
Li  0.5082  0.4701  0.0054 [1 per cell]
Li  0.6190  0.1123  0.2301 [1 per cell]
Li  0.7522  0.7519  0.4969 [1 per cell]
Li  0.8812  0.3517  0.7543 [1 per cell]
Mn  0.3181  0.5522  0.6284 [1 per cell]
Mn  0.6873  0.4252  0.3644 [1 per cell]
Co  0.1885  0.9281  0.3728 [1 per cell]
Co  0.4418  0.1766  0.8784 [1 per cell]
Co  0.5638  0.8016  0.1235 [1 per cell]
Co  0.8142  0.0517  0.6239 [1 per cell]
Co  0.9406  0.6761  0.8759 [1 per cell]
O  0.0307  0.6602  0.0579 [1 per cell]
O  0.0961  0.9421  0.1877 [1 per cell]
O  0.1657  0.2891  0.3223 [1 per cell]
O  0.2266  0.5716  0.4435 [1 per cell]
O  0.2813  0.9094  0.5584 [1 per cell]
O  0.3458  0.1920  0.6863 [1 per cell]
O  0.4066  0.5330  0.8081 [1 per cell]
O  0.4714  0.8133  0.9370 [1 per cell]
O  0.5269  0.1436  0.0495 [1 per cell]
O  0.6083  0.4631  0.2051 [1 per cell]
O  0.6562  0.7873  0.3090 [1 per cell]
O  0.7211  0.0685  0.4375 [1 per cell]
O  0.7862  0.4108  0.5648 [1 per cell]
O  0.8479  0.6956  0.6877 [1 per cell]
O  0.9052  0.0330  0.8069 [1 per cell]
O  0.9683  0.3176  0.9302 [1 per cell]



Below is a geometry-optimized Pr3Er structure, with properties calculated at the r²SCAN level.

energy relative to the elements = 0.04 eV per atom
crystal system = hexagonal

Cell lengths 7.4788, 7.4788, 5.9032 Å; angles 90.00, 90.00, 120.00 degrees
Space group P6_3/mmc (No. 194)
Inequivalent atoms, fractional coordinates:
Pr  0.1688  0.3375  0.2500 [6 per cell]
Er  0.3333  0.6667  0.7500 [2 per cell]



Below is a geometry-optimized Sn14Sb11Pt8 structure, with properties calculated at the r²SCAN level.

energy relative to the elements = -0.36 eV per atom
crystal system = triclinic

Cell lengths 9.4173, 9.4540, 9.5111 Å; angles 90.41, 90.37, 90.22 degrees
Space group P1 (No. 1)
Inequivalent atoms, fractional coordinates:
Sn  0.0000  0.0000  0.0000 [1 per cell]
Sn  0.0003  0.1537  0.6563 [1 per cell]
Sn  0.1516  0.8165  0.3401 [1 per cell]
Sn  0.1543  0.5110  0.3396 [1 per cell]
Sn  0.3070  0.9947  0.9999 [1 per cell]
Sn  0.3122  0.1564  0.6548 [1 per cell]
Sn  0.4906  0.5071  0.4979 [1 per cell]
Sn  0.4953  0.6580  0.8484 [1 per cell]
Sn  0.6490  0.3258  0.8671 [1 per cell]
Sn  0.6542  0.3129  0.1724 [1 per cell]
Sn  0.6824  0.2482  0.5671 [1 per cell]
Sn  0.8056  0.8269  0.4975 [1 per cell]
Sn  0.8142  0.6590  0.1546 [1 per cell]
Sn  0.8214  0.5198  0.4903 [1 per cell]
Sb  0.0020  0.1603  0.3473 [1 per cell]
Sb  0.1511  0.5049  0.6516 [1 per cell]
Sb  0.1514  0.8153  0.6552 [1 per cell]
Sb  0.3068  0.3094  0.9964 [1 per cell]
Sb  0.3151  0.1591  0.3484 [1 per cell]
Sb  0.4974  0.6571  0.1541 [1 per cell]
Sb  0.4998  0.8171  0.5012 [1 per cell]
Sb  0.6530  0.0088  0.8431 [1 per cell]
Sb  0.6538  0.0073  0.1545 [1 per cell]
Sb  0.8084  0.6570  0.8471 [1 per cell]
Sb  0.9973  0.3121  0.9951 [1 per cell]
Pt  0.3993  0.4085  0.2472 [1 per cell]
Pt  0.4004  0.4096  0.7493 [1 per cell]
Pt  0.4047  0.9069  0.7510 [1 per cell]
Pt  0.4056  0.9094  0.2506 [1 per cell]
Pt  0.8996  0.4067  0.7449 [1 per cell]
Pt  0.9008  0.9061  0.7521 [1 per cell]
Pt  0.9018  0.9141  0.2486 [1 per cell]
Pt  0.9096  0.4075  0.2454 [1 per cell]